(1)
DFT (PBE) results for Mg14ZnC after structural relaxation.

a = 6.1738 Å, b = 6.1738 Å, c = 9.9597 Å
α = 90.00°, β = 90.00°, γ = 120.00°
Closest atoms and distances in Å follow each position.
Space group P-6m2 (No. 187)
Symmetry-distinct sites (fractional):
1 Mg 0.0000 0.0000 0.2476 [2 per cell]  12 Mg 3.05-3.09
2 Mg 0.0113 0.5056 0.2562 [6 per cell]  1 C 2.98, 10 Mg 2.98-3.19, 1 Zn 3.08
3 Mg 0.3302 0.1651 0.5000 [3 per cell]  10 Mg 3.04-3.12, 2 C 3.09
4 Mg 0.3345 0.1672 0.0000 [3 per cell]  10 Mg 3.05-3.13, 2 Zn 3.09
5 Zn 0.3333 0.6667 0.0000 [1 per cell]  12 Mg 3.08-3.09
6 C 0.3333 0.6667 0.5000 [1 per cell]  12 Mg 2.98-3.09

Total magnetic moment ... 0.0000 μB/atom
E above lowest polymorph ... 165 kJ/mol of formula units
Crystal system ... hexagonal



(2)
DFT (PBE) results for LaSb2Au after structural relaxation.

a = 4.4992 Å, b = 4.4992 Å, c = 10.5229 Å
α = 90.00°, β = 90.00°, γ = 90.00°
Closest atoms and distances in Å follow each position.
Space group P4/nmm (No. 129, origin choice 2)
Symmetry-distinct sites (fractional):
1 La 0.2500 0.2500 0.2473 [2 per cell]  8 Sb 3.29-3.44, 4 Au 3.48
2 Sb 0.2500 0.2500 0.6731 [2 per cell]  4 Au 2.89
3 Sb 0.2500 0.7500 0.0000 [2 per cell]  4 Sb 3.18, 4 La 3.44
4 Au 0.2500 0.7500 0.5000 [2 per cell]  4 Sb 2.89, 4 Au 3.18

Crystal system ... tetragonal



(3)
DFT (PBE) results for FeCN2 after structural relaxation.

a = 3.1644 Å, b = 3.1644 Å, c = 9.7018 Å
α = 90.00°, β = 90.00°, γ = 120.00°
Closest atoms and distances in Å follow each position.
Space group P6_3/mmc (No. 194)
Symmetry-distinct sites (fractional):
1 Fe 0.0000 0.0000 0.0000 [2 per cell]  6 N 2.18
2 C 0.3333 0.6667 0.2500 [2 per cell]  2 N 1.24
3 N 0.3333 0.6667 0.1226 [4 per cell]  1 C 1.24

Total magnetic moment ... 0.9986 μB/atom
Crystal system ... hexagonal



(4)
DFT (PBE) results for LiMg3 after structural relaxation.

a = 3.1300 Å, b = 5.0957 Å, c = 5.5537 Å
α = 90.00°, β = 90.00°, γ = 90.00°
Closest atoms and distances in Å follow each position.
Space group Pmm2 (No. 25)
Symmetry-distinct sites (fractional):
1 Li 0.0000 0.0000 0.0000 [1 per cell]  10 Mg 3.13-3.19, 2 Li 3.13
2 Mg 0.0000 0.5000 0.6710 [1 per cell]  10 Mg 3.13-3.22, 2 Li 3.14
3 Mg 0.5000 0.0000 0.5001 [1 per cell]  8 Mg 3.13-3.16, 4 Li 3.19
4 Mg 0.5000 0.5000 0.1649 [1 per cell]  4 Li 3.13, 8 Mg 3.13-3.22

Crystal system ... orthorhombic



(5)
DFT (PBE) results for Al3BC3 after structural relaxation.

a = 5.9335 Å, b = 5.9335 Å, c = 15.9313 Å
α = 90.00°, β = 90.00°, γ = 120.00°
Closest atoms and distances in Å follow each position.
Space group P6_3cm (No. 185)
Symmetry-distinct sites (fractional):
1 Al 0.0000 0.0000 0.1427 [2 per cell]  4 C 1.99-2.17
2 Al 0.0000 0.3221 0.0000 [6 per cell]  4 C 2.02-2.05
3 Al 0.0000 0.3454 0.2551 [6 per cell]  4 C 2.03-2.08
4 Al 0.3333 0.6667 0.1211 [4 per cell]  3 C 1.98
5 B 0.0000 0.0000 0.3693 [2 per cell]  2 C 1.44
6 B 0.3333 0.6667 0.3845 [4 per cell]  2 C 1.44-1.45
7 C 0.0000 0.0000 0.2791 [2 per cell]  1 B 1.44
8 C 0.0000 0.0000 0.4599 [2 per cell]  1 B 1.44
9 C 0.0000 0.3330 0.1275 [6 per cell]  5 Al 1.98-2.03
10 C 0.3333 0.6667 0.2938 [4 per cell]  1 B 1.45
11 C 0.3333 0.6667 0.4748 [4 per cell]  1 B 1.44

E above lowest polymorph ... 0 kJ/mol of formula units
Crystal system ... hexagonal



(6)
DFT (PBE) results for NaY2F7 after structural relaxation.

a = 6.9073 Å, b = 3.9856 Å, c = 10.9100 Å
α = 90.00°, β = 101.63°, γ = 90.00°
Closest atoms and distances in Å follow each position.
Space group C2/m (No. 12)
Symmetry-distinct sites (fractional):
1 Na 0.0000 0.0000 0.0000 [2 per cell]  8 F 2.47-2.61
2 Y 0.0865 0.5000 0.7074 [4 per cell]  8 F 2.14-2.36
3 F 0.0000 0.5000 0.5000 [2 per cell]  2 Y 2.22
4 F 0.0661 0.0000 0.2441 [4 per cell]  3 Y 2.35-2.36, 3 F 2.50, 1 Na 2.61
5 F 0.1423 0.5000 0.9076 [4 per cell]  1 Y 2.14
6 F 0.2383 0.0000 0.6656 [4 per cell]  3 Y 2.34-2.36, 3 F 2.50

Total magnetic moment ... 0.0001 μB/atom
Crystal system ... monoclinic



no.,formation energy (eV per formula unit)
1,4.3
2,-3.1
3,0.2
4,-0.1
5,-0.6
6,-41.2